No. 1
Compound: LiNi2P3O12
Source: the Materials Project
Functional: GGA+U
Structure: optimized geometry

Properties
Total moment (μB per formula unit): 6.0
Calculated volume (Å³/atom): 13.4

Lattice parameters (Å, degrees): 9.8854 9.8963 9.9355 85.65 85.43 86.32
Space group P1 (No. 1)
Inequivalent atoms, fractional coordinates:
Li (0.0000, 0.0000, 0.0000)
Li (0.0421, 0.1564, 0.7319)
Li (0.4986, 0.5129, 0.5137)
Li (0.6426, 0.5689, 0.2332)
Ni (0.0451, 0.4842, 0.2313)
Ni (0.2600, 0.0388, 0.4461)
Ni (0.2603, 0.2628, 0.2303)
Ni (0.4800, 0.2626, 0.0104)
Ni (0.5377, 0.7632, 0.9475)
Ni (0.7586, 0.9806, 0.5085)
Ni (0.7601, 0.7624, 0.7304)
Ni (0.9833, 0.5481, 0.7323)
P (0.0489, 0.8697, 0.6626)
P (0.1627, 0.3389, 0.9395)
P (0.1882, 0.3586, 0.5249)
P (0.3258, 0.9702, 0.1283)
P (0.3648, 0.5537, 0.1651)
P (0.4659, 0.8313, 0.6336)
P (0.5527, 0.1928, 0.3264)
P (0.6633, 0.4713, 0.8008)
P (0.6963, 0.0549, 0.8266)
P (0.8325, 0.6605, 0.4420)
P (0.8557, 0.6920, 0.0249)
P (0.9682, 0.1653, 0.3020)
O (0.0587, 0.4232, 0.5937)
O (0.0769, 0.9574, 0.7754)
O (0.0982, 0.7194, 0.6892)
O (0.0994, 0.2135, 0.8955)
O (0.1023, 0.4716, 0.8752)
O (0.1164, 0.9178, 0.5238)
O (0.1268, 0.1387, 0.3114)
O (0.1370, 0.3464, 0.0972)
O (0.1799, 0.3861, 0.3676)
O (0.1914, 0.2038, 0.5677)
O (0.1955, 0.9304, 0.0712)
O (0.2131, 0.6010, 0.1873)
O (0.3116, 0.9253, 0.2813)
O (0.3164, 0.3209, 0.8955)
O (0.3186, 0.4140, 0.5676)
O (0.3407, 0.1283, 0.1047)
O (0.3840, 0.3955, 0.1490)
O (0.3944, 0.1800, 0.3545)
O (0.4004, 0.9595, 0.5657)
O (0.4172, 0.6194, 0.0270)
O (0.4227, 0.8206, 0.7870)
O (0.4248, 0.6990, 0.5814)
O (0.4466, 0.5869, 0.2807)
O (0.4570, 0.9050, 0.0644)
O (0.5696, 0.1222, 0.8958)
O (0.5953, 0.2061, 0.1724)
O (0.5971, 0.3258, 0.3744)
O (0.5977, 0.4086, 0.9332)
O (0.6050, 0.4278, 0.6739)
O (0.6183, 0.0638, 0.3923)
O (0.6243, 0.8441, 0.6073)
O (0.6364, 0.6299, 0.8117)
O (0.6814, 0.8969, 0.8555)
O (0.7010, 0.6942, 0.0688)
O (0.7055, 0.0963, 0.6725)
O (0.7051, 0.5970, 0.4029)
O (0.8134, 0.8133, 0.3950)
O (0.8171, 0.4292, 0.7879)
O (0.8305, 0.0974, 0.8738)
O (0.8434, 0.6377, 0.5991)
O (0.8835, 0.6831, 0.8677)
O (0.8909, 0.8844, 0.6442)
O (0.9052, 0.1008, 0.4349)
O (0.9094, 0.8231, 0.0683)
O (0.9234, 0.1075, 0.1749)
O (0.9233, 0.5645, 0.0932)
O (0.9269, 0.3190, 0.2878)
O (0.9645, 0.6006, 0.3753)


No. 2
Compound: LiNiPO4
Source: the Materials Project
Functional: GGA+U
Structure: optimized geometry

Properties
Total moment (μB per formula unit): 2.0
Calculated volume (Å³/atom): 12.3

Lattice parameters (Å, degrees): 9.9497 4.9186 7.0170 90.00 90.00 90.00
Space group Pna2_1 (No. 33)
Inequivalent atoms, fractional coordinates:
Li (0.1528, 0.1957, 0.0000)
Ni (0.1483, 0.2017, 0.5007)
P (0.0967, 0.6903, 0.2498)
O (0.0552, 0.2366, 0.7496)
O (0.1187, 0.3768, 0.2504)
O (0.1611, 0.8087, 0.4341)
O (0.1632, 0.8053, 0.0658)


No. 3
Compound: LiNiPO4
Source: the Materials Project
Functional: GGA+U
Structure: optimized geometry

Properties
Total moment (μB per formula unit): 0.0
Calculated volume (Å³/atom): 9.9

Lattice parameters (Å, degrees): 9.0290 6.3051 4.8864 90.00 90.00 90.00
Space group Pnma (No. 62)
Inequivalent atoms, fractional coordinates:
Li (0.1634, 0.2500, 0.0207)
Ni (0.0000, 0.0000, 0.5000)
P (0.1786, 0.7500, 0.0240)
O (0.1195, 0.5473, 0.1598)
O (0.1352, 0.7500, 0.7129)
O (0.1476, 0.2500, 0.5756)


No. 4
Compound: LiNi5P3O13
Source: the Materials Project
Functional: GGA+U
Structure: optimized geometry

Properties
Total moment (μB per formula unit): 10.0
Calculated volume (Å³/atom): 11.1

Lattice parameters (Å, degrees): 6.0269 8.4145 9.7650 96.63 95.76 90.10
Space group P-1 (No. 2)
Inequivalent atoms, fractional coordinates:
Li (0.2224, 0.4207, 0.4516)
Ni (0.0181, 0.1166, 0.7785)
Ni (0.2281, 0.5866, 0.1063)
Ni (0.2682, 0.8495, 0.9259)
Ni (0.2852, 0.7942, 0.6172)
Ni (0.4760, 0.8818, 0.2328)
P (0.2411, 0.1144, 0.4796)
P (0.2501, 0.1828, 0.1081)
P (0.2608, 0.4707, 0.7703)
O (0.0345, 0.2196, 0.4596)
O (0.0403, 0.1139, 0.1624)
O (0.0472, 0.3649, 0.7659)
O (0.2144, 0.8163, 0.1075)
O (0.2389, 0.3624, 0.1304)
O (0.2429, 0.9601, 0.3771)
O (0.2532, 0.5555, 0.6355)
O (0.2549, 0.0509, 0.6304)
O (0.2743, 0.5999, 0.8985)
O (0.2762, 0.1118, 0.9533)
O (0.4380, 0.2304, 0.4746)
O (0.4687, 0.3616, 0.7812)
O (0.4719, 0.1251, 0.1928)


| no. | calculated total energy (eV/atom) |
| --- | --- |
| 1 | -6.17 |
| 2 | -6.28 |
| 3 | -6.29 |
| 4 | -6.11 |